# 1
VASP calculation (PBE) on a geometry-optimized SiO2 structure.

Properties
For the calculated volume, the calculation gives 959.2 Å³/cell. The value obtained for the MP2020-corrected energy is -8.2097 eV per atom. Its crystal system is tetragonal. The energy is -279.06 eV for the cell shown. As for the formation energy: -3.103 eV per atom. The calculation puts the magnetization at 0.00 μB/f.u.

Unit cell a=9.8705 b=9.8705 c=9.8452 alpha=90.00 beta=90.00 gamma=90.00
Space group P4_32_12 (No. 96)
Inequivalent atoms, fractional coordinates:
Si 0.0043 0.3731 0.1240 [8 per cell]
Si 0.2400 0.7600 0.7500 [4 per cell]
O 0.0159 0.4774 0.9951 [8 per cell]
O 0.1135 0.7427 0.6439 [8 per cell]
O 0.1367 0.2745 0.1111 [8 per cell]



# 2
VASP calculation (PBE) on a geometry-optimized Ce2MgSe4 structure.

Properties
For the calculated volume, the calculation gives 811.6 Å³/cell. The value obtained for the MP2020-corrected energy is -5.7324 eV per atom. Its crystal system is orthorhombic. The energy is -152.96 eV for the cell shown. The relative energy among the computed polymorphs comes out at 57.5 meV per atom. As for the formation energy: -1.811 eV per atom. The calculation puts the magnetization at 2.00 μB/f.u.

Unit cell a=13.4860 b=4.1439 c=14.5232 alpha=90.00 beta=90.00 gamma=90.00
Space group Pnma (No. 62)
Inequivalent atoms, fractional coordinates:
Ce 0.1189 0.2500 0.0727 [4 per cell]
Ce 0.1346 0.2500 0.7043 [4 per cell]
Mg 0.1075 0.7500 0.4622 [4 per cell]
Se 0.0011 0.7500 0.6147 [4 per cell]
Se 0.0288 0.2500 0.8846 [4 per cell]
Se 0.2265 0.2500 0.2460 [4 per cell]
Se 0.2320 0.2500 0.5143 [4 per cell]